First-principles (GGA+U) data for a relaxed KSbMoO5 crystal, as listed in Materials Project.

- Volume: 605.1 Å³/cell
- Total energy after the MP2020 corrections: -228.6 eV per cell
- ΔE_f: -2.04 eV/atom
- Total moment: 0.00 μB/f.u.
- VASP energy: -6.31 eV per atom

a b c (Å): 9.306 11.722 5.829
angles (deg): 90.00 107.91 90.00
Space group P2_1/c (No. 14)
Asymmetric unit:
K (0.107, 0.144, 0.043) [4 per cell]
Sb (0.463, 0.169, 0.785) [4 per cell]
Mo (0.217, 0.587, 0.072) [4 per cell]
O (0.061, 0.648, 0.139) [4 per cell]
O (0.169, 0.567, 0.757) [4 per cell]
O (0.267, 0.052, 0.724) [4 per cell]
O (0.352, 0.238, 0.464) [4 per cell]
O (0.383, 0.679, 0.173) [4 per cell]